No. 1
Here is a geometry-optimized NaMo2H25C8O10 structure from the Materials Project. Energies are from PBE with a Hubbard U.

- magnetization (μB per formula unit) = 2.0
- energy of formation (kJ per mole of atoms) = -67.6
- energy with MP2020 corrections (eV/atom) = -5.73

Unit cell a=9.3603 b=14.5415 c=15.0790 alpha=90.00 beta=98.74 gamma=90.00
Atoms (fractional coordinates):
Na: 0.7876 0.7754 0.6626
Na: 0.2124 0.2754 0.8374
Na: 0.2124 0.2246 0.3374
Na: 0.7876 0.7246 0.1626
Mo: 0.0951 0.8002 0.5618
Mo: 0.9049 0.3002 0.9382
Mo: 0.9049 0.1998 0.4382
Mo: 0.0951 0.6998 0.0618
Mo: 0.4299 0.7984 0.5694
Mo: 0.5701 0.2984 0.9306
Mo: 0.5701 0.2016 0.4306
Mo: 0.4299 0.7016 0.0694
H: 0.9121 0.7260 0.8550
H: 0.0879 0.2260 0.6450
H: 0.0879 0.2740 0.1450
H: 0.9121 0.7740 0.3550
H: 0.0818 0.5808 0.5643
H: 0.9182 0.0808 0.9357
H: 0.9182 0.4192 0.4357
H: 0.0818 0.9192 0.0643
H: 0.9172 0.5627 0.6084
H: 0.0828 0.0627 0.8916
H: 0.0828 0.4373 0.3916
H: 0.9172 0.9373 0.1084
H: 0.9121 0.5968 0.4939
H: 0.0879 0.0968 0.0061
H: 0.0879 0.4032 0.5061
H: 0.9121 0.9032 0.9939
H: 0.1421 0.9471 0.7210
H: 0.8579 0.4471 0.7790
H: 0.8579 0.0529 0.2790
H: 0.1421 0.5529 0.2210
H: 0.0067 0.0140 0.6530
H: 0.9933 0.5140 0.8470
H: 0.9933 0.9860 0.3470
H: 0.0067 0.4860 0.1530
H: 0.9629 0.9531 0.7485
H: 0.0371 0.4531 0.7515
H: 0.0371 0.0469 0.2515
H: 0.9629 0.5469 0.2485
H: 0.1867 0.6784 0.7506
H: 0.8133 0.1784 0.7494
H: 0.8133 0.3216 0.2494
H: 0.1867 0.8216 0.2506
H: 0.2872 0.6248 0.6732
H: 0.7128 0.1248 0.8268
H: 0.7128 0.3752 0.3268
H: 0.2872 0.8752 0.1732
H: 0.3795 0.6843 0.7692
H: 0.6205 0.1843 0.7308
H: 0.6205 0.3157 0.2308
H: 0.3795 0.8157 0.2692
H: 0.3307 0.6218 0.4233
H: 0.6693 0.1218 0.0767
H: 0.6693 0.3782 0.5767
H: 0.3307 0.8782 0.9233
H: 0.1386 0.6262 0.4152
H: 0.8614 0.1262 0.0848
H: 0.8614 0.3738 0.5848
H: 0.1386 0.8738 0.9152
H: 0.2341 0.7193 0.3732
H: 0.7659 0.2193 0.1268
H: 0.7659 0.2807 0.6268
H: 0.2341 0.7807 0.8732
H: 0.1646 0.0257 0.5401
H: 0.8354 0.5257 0.9599
H: 0.8354 0.9743 0.4599
H: 0.1646 0.4743 0.0401
H: 0.3564 0.0243 0.5446
H: 0.6436 0.5243 0.9554
H: 0.6436 0.9757 0.4554
H: 0.3564 0.4757 0.0446
H: 0.2430 0.9747 0.4504
H: 0.7570 0.4747 0.0496
H: 0.7570 0.0253 0.5496
H: 0.2430 0.5253 0.9504
H: 0.6139 0.5595 0.6325
H: 0.3861 0.0595 0.8675
H: 0.3861 0.4405 0.3675
H: 0.6139 0.9405 0.1325
H: 0.4380 0.5792 0.5710
H: 0.5620 0.0792 0.9290
H: 0.5620 0.4208 0.4290
H: 0.4380 0.9208 0.0710
H: 0.5933 0.5874 0.5157
H: 0.4067 0.0874 0.9843
H: 0.4067 0.4126 0.4843
H: 0.5933 0.9126 0.0157
H: 0.6413 0.9564 0.7583
H: 0.3587 0.4564 0.7417
H: 0.3587 0.0436 0.2417
H: 0.6413 0.5436 0.2583
H: 0.5618 0.0109 0.6565
H: 0.4382 0.5109 0.8435
H: 0.4382 0.9891 0.3435
H: 0.5618 0.4891 0.1565
H: 0.4498 0.9519 0.7242
H: 0.5502 0.4519 0.7758
H: 0.5502 0.0481 0.2758
H: 0.4498 0.5481 0.2242
H: 0.7302 0.7738 0.9315
H: 0.2698 0.2738 0.5685
H: 0.2698 0.2262 0.0685
H: 0.7302 0.7262 0.4315
H: 0.6179 0.7853 0.8248
H: 0.3821 0.2853 0.6752
H: 0.3821 0.2147 0.1752
H: 0.6179 0.7147 0.3248
H: 0.6741 0.6741 0.8662
H: 0.3259 0.1741 0.6338
H: 0.3259 0.3259 0.1338
H: 0.6741 0.8259 0.3662
C: 0.9703 0.6057 0.5629
C: 0.0297 0.1057 0.9371
C: 0.0297 0.3943 0.4371
C: 0.9703 0.8943 0.0629
C: 0.0265 0.9503 0.6927
C: 0.9735 0.4503 0.8073
C: 0.9735 0.0497 0.3073
C: 0.0265 0.5497 0.1927
C: 0.2831 0.6850 0.7174
C: 0.7169 0.1850 0.7826
C: 0.7169 0.3150 0.2826
C: 0.2831 0.8150 0.2174
C: 0.2381 0.6677 0.4268
C: 0.7619 0.1677 0.0732
C: 0.7619 0.3323 0.5732
C: 0.2381 0.8323 0.9268
C: 0.2563 0.9854 0.5235
C: 0.7437 0.4854 0.9765
C: 0.7437 0.0146 0.4765
C: 0.2563 0.5146 0.0235
C: 0.5518 0.6015 0.5791
C: 0.4482 0.1015 0.9209
C: 0.4482 0.3985 0.4209
C: 0.5518 0.8985 0.0791
C: 0.5551 0.9505 0.6999
C: 0.4449 0.4505 0.8001
C: 0.4449 0.0495 0.3001
C: 0.5551 0.5495 0.1999
C: 0.7073 0.7464 0.8626
C: 0.2927 0.2464 0.6374
C: 0.2927 0.2536 0.1374
C: 0.7073 0.7536 0.3626
O: 0.0255 0.8277 0.4508
O: 0.9745 0.3277 0.0492
O: 0.9745 0.1723 0.5492
O: 0.0255 0.6723 0.9508
O: 0.9662 0.6987 0.5905
O: 0.0338 0.1987 0.9095
O: 0.0338 0.3013 0.4095
O: 0.9662 0.8013 0.0905
O: 0.9833 0.8710 0.6402
O: 0.0167 0.3710 0.8598
O: 0.0167 0.1290 0.3598
O: 0.9833 0.6290 0.1402
O: 0.2772 0.7689 0.6676
O: 0.7228 0.2689 0.8324
O: 0.7228 0.2311 0.3324
O: 0.2772 0.7311 0.1676
O: 0.2526 0.7089 0.5137
O: 0.7474 0.2089 0.9863
O: 0.7474 0.2911 0.4863
O: 0.2526 0.7911 0.0137
O: 0.2635 0.8995 0.5701
O: 0.7365 0.3995 0.9299
O: 0.7365 0.1005 0.4299
O: 0.2635 0.6005 0.0701
O: 0.4586 0.8312 0.4634
O: 0.5414 0.3312 0.0366
O: 0.5414 0.1688 0.5366
O: 0.4586 0.6688 0.9634
O: 0.5686 0.6954 0.6029
O: 0.4314 0.1954 0.8971
O: 0.4314 0.3046 0.3971
O: 0.5686 0.8046 0.1029
O: 0.5750 0.8670 0.6546
O: 0.4250 0.3670 0.8454
O: 0.4250 0.1330 0.3454
O: 0.5750 0.6330 0.1546
O: 0.8304 0.7561 0.8169
O: 0.1696 0.2561 0.6831
O: 0.1696 0.2439 0.1831
O: 0.8304 0.7439 0.3169

No. 2
Here is a geometry-optimized Rb3Mo2HCO13 structure from the Materials Project. Energies are from PBE with a Hubbard U.

- magnetization (μB per formula unit) = 0.0
- energy of formation (kJ per mole of atoms) = -121.9
- energy with MP2020 corrections (eV/atom) = -6.34

Unit cell a=11.9838 b=6.4771 c=17.0155 alpha=90.00 beta=90.00 gamma=90.00
Atoms (fractional coordinates):
Rb: 0.4005 0.7525 0.8525
Rb: 0.5995 0.2475 0.3525
Rb: 0.0995 0.7525 0.3525
Rb: 0.9005 0.2475 0.8525
Rb: 0.5912 0.2418 0.6481
Rb: 0.4088 0.7582 0.1481
Rb: 0.9088 0.2418 0.1481
Rb: 0.0912 0.7582 0.6481
Rb: 0.4303 0.7241 0.4459
Rb: 0.5697 0.2759 0.9459
Rb: 0.0697 0.7241 0.9459
Rb: 0.9303 0.2759 0.4459
Mo: 0.7375 0.7850 0.7578
Mo: 0.2625 0.2150 0.2578
Mo: 0.7625 0.7850 0.2578
Mo: 0.2375 0.2150 0.7578
Mo: 0.7601 0.7938 0.5369
Mo: 0.2399 0.2062 0.0369
Mo: 0.7399 0.7938 0.0369
Mo: 0.2601 0.2062 0.5369
H: 0.9064 0.2651 0.6542
H: 0.0936 0.7349 0.1542
H: 0.5936 0.2651 0.1542
H: 0.4064 0.7349 0.6542
C: 0.8613 0.4144 0.6522
C: 0.1387 0.5856 0.1522
C: 0.6387 0.4144 0.1522
C: 0.3613 0.5856 0.6522
O: 0.8982 0.8608 0.7480
O: 0.1018 0.1392 0.2480
O: 0.6018 0.8608 0.2480
O: 0.3982 0.1392 0.7480
O: 0.8742 0.7632 0.8249
O: 0.1258 0.2368 0.3249
O: 0.6258 0.7632 0.3249
O: 0.3742 0.2368 0.8249
O: 0.6571 0.5831 0.8261
O: 0.3429 0.4169 0.3261
O: 0.8429 0.5831 0.3261
O: 0.1571 0.4169 0.8261
O: 0.5990 0.6144 0.7505
O: 0.4010 0.3856 0.2505
O: 0.9010 0.6144 0.2505
O: 0.0990 0.3856 0.7505
O: 0.6434 0.5740 0.5356
O: 0.3566 0.4260 0.0356
O: 0.8566 0.5740 0.0356
O: 0.1434 0.4260 0.5356
O: 0.7153 0.5645 0.4652
O: 0.2847 0.4355 0.9652
O: 0.7847 0.5645 0.9652
O: 0.2153 0.4355 0.4652
O: 0.9040 0.8193 0.4782
O: 0.0960 0.1807 0.9782
O: 0.5960 0.8193 0.9782
O: 0.4040 0.1807 0.4782
O: 0.9090 0.9247 0.5555
O: 0.0910 0.0753 0.0555
O: 0.5910 0.9247 0.0555
O: 0.4091 0.0753 0.5555
O: 0.6827 0.0162 0.7937
O: 0.3173 0.9838 0.2937
O: 0.8173 0.0162 0.2937
O: 0.1827 0.9838 0.7937
O: 0.7207 0.8481 0.6462
O: 0.2793 0.1519 0.1462
O: 0.7793 0.8481 0.1462
O: 0.2207 0.1519 0.6462
O: 0.6875 0.0014 0.4966
O: 0.3125 0.9986 0.9966
O: 0.8125 0.0014 0.9966
O: 0.1875 0.9986 0.4966
O: 0.8109 0.4652 0.7147
O: 0.1891 0.5348 0.2147
O: 0.6891 0.4652 0.2147
O: 0.3109 0.5348 0.7147
O: 0.8660 0.5113 0.5874
O: 0.1340 0.4887 0.0874
O: 0.6340 0.5113 0.0874
O: 0.3660 0.4887 0.5874

No. 3
Here is a geometry-optimized SnMoH6C2O4 structure from the Materials Project. Energies are from PBE with a Hubbard U.

- magnetization (μB per formula unit) = 0.0
- energy of formation (kJ per mole of atoms) = -83.3
- energy with MP2020 corrections (eV/atom) = -6.11

Unit cell a=7.3805 b=7.4440 c=13.7319 alpha=90.00 beta=90.00 gamma=90.00
Atoms (fractional coordinates):
Sn: 0.7259 0.7500 0.3727
Sn: 0.7741 0.7500 0.8727
Sn: 0.2741 0.2500 0.6273
Sn: 0.2259 0.2500 0.1273
Mo: 0.5653 0.2500 0.3855
Mo: 0.9347 0.2500 0.8855
Mo: 0.4347 0.7500 0.6145
Mo: 0.0653 0.7500 0.1145
H: 0.9665 0.7500 0.5184
H: 0.5335 0.7500 0.0184
H: 0.0335 0.2500 0.4816
H: 0.4665 0.2500 0.9816
H: 0.0592 0.8707 0.4164
H: 0.4408 0.6293 0.9164
H: 0.9408 0.3707 0.5836
H: 0.5592 0.1293 0.0836
H: 0.9408 0.1293 0.5836
H: 0.5592 0.3707 0.0836
H: 0.0592 0.6293 0.4164
H: 0.4408 0.8707 0.9164
H: 0.3843 0.7500 0.3117
H: 0.1157 0.7500 0.8117
H: 0.6157 0.2500 0.6883
H: 0.8843 0.2500 0.1883
H: 0.5212 0.6292 0.2253
H: 0.9788 0.8708 0.7253
H: 0.4788 0.1292 0.7747
H: 0.0212 0.3708 0.2747
H: 0.4788 0.3708 0.7747
H: 0.0212 0.1292 0.2747
H: 0.5212 0.8708 0.2253
H: 0.9788 0.6292 0.7253
C: 0.9862 0.7500 0.4394
C: 0.5138 0.7500 0.9394
C: 0.0138 0.2500 0.5606
C: 0.4862 0.2500 0.0606
C: 0.5111 0.7500 0.2701
C: 0.9889 0.7500 0.7701
C: 0.4889 0.2500 0.7299
C: 0.0111 0.2500 0.2299
O: 0.7058 0.4481 0.3824
O: 0.7942 0.0519 0.8824
O: 0.2942 0.9481 0.6176
O: 0.2058 0.5519 0.1176
O: 0.2942 0.5519 0.6176
O: 0.2058 0.9481 0.1176
O: 0.7058 0.0519 0.3824
O: 0.7942 0.4481 0.8824
O: 0.4326 0.2500 0.4965
O: 0.0674 0.2500 0.9965
O: 0.5674 0.7500 0.5035
O: 0.9326 0.7500 0.0035
O: 0.4196 0.2500 0.2833
O: 0.0804 0.2500 0.7833
O: 0.5804 0.7500 0.7167
O: 0.9196 0.7500 0.2167

No. 4
Here is a geometry-optimized Na2NiH20C12N12O18 structure from the Materials Project. Energies are from PBE with a Hubbard U.

- magnetization (μB per formula unit) = 2.0
- energy of formation (kJ per mole of atoms) = -94.7
- energy with MP2020 corrections (eV/atom) = -6.77

Unit cell a=7.2740 b=10.4883 c=10.5525 alpha=112.64 beta=108.92 gamma=95.16
Atoms (fractional coordinates):
Na: 0.7039 0.4017 0.4661
Na: 0.2961 0.5983 0.5339
Ni: 0.0000 0.0000 0.0000
H: 0.7417 0.6902 0.6855
H: 0.2583 0.3098 0.3145
H: 0.3006 0.9018 0.7292
H: 0.6994 0.0982 0.2708
H: 0.7211 0.8377 0.0327
H: 0.2789 0.1623 0.9673
H: 0.3050 0.4053 0.2395
H: 0.6950 0.5947 0.7605
H: 0.8134 0.4398 0.1163
H: 0.1866 0.5602 0.8837
H: 0.3919 0.1169 0.1009
H: 0.6081 0.8831 0.8991
H: 0.2591 0.6299 0.1378
H: 0.7409 0.3701 0.8622
H: 0.2546 0.8057 0.8032
H: 0.7454 0.1943 0.1968
H: 0.2654 0.9869 0.4931
H: 0.7346 0.0131 0.5069
H: 0.8013 0.7884 0.4661
H: 0.1987 0.2116 0.5339
C: 0.8160 0.6039 0.3050
C: 0.1840 0.3961 0.6950
C: 0.1835 0.7986 0.0869
C: 0.8165 0.2014 0.9131
C: 0.7444 0.6106 0.0663
C: 0.2556 0.3894 0.9337
C: 0.2729 0.7988 0.3298
C: 0.7271 0.2012 0.6702
C: 0.8130 0.9965 0.7091
C: 0.1870 0.0035 0.2909
C: 0.7403 0.8110 0.2675
C: 0.2597 0.1890 0.7325
N: 0.1519 0.9309 0.1442
N: 0.8481 0.0691 0.8558
N: 0.2480 0.9356 0.3812
N: 0.7520 0.0644 0.6188
N: 0.7230 0.7457 0.1240
N: 0.2770 0.2543 0.8760
N: 0.2436 0.7349 0.1814
N: 0.7564 0.2651 0.8186
N: 0.7928 0.5428 0.1585
N: 0.2072 0.4572 0.8415
N: 0.7841 0.7381 0.3548
N: 0.2159 0.2619 0.6452
O: 0.7187 0.9356 0.3253
O: 0.2813 0.0644 0.6747
O: 0.2763 0.4557 0.0676
O: 0.7237 0.5443 0.9324
O: 0.1561 0.7343 0.9519
O: 0.8439 0.2657 0.0481
O: 0.3361 0.8214 0.7501
O: 0.6639 0.1786 0.2499
O: 0.8377 0.8727 0.6563
O: 0.1623 0.1273 0.3437
O: 0.8637 0.5429 0.3868
O: 0.1363 0.4571 0.6132
O: 0.3400 0.4008 0.3357
O: 0.6600 0.5992 0.6643
O: 0.2632 0.0976 0.0183
O: 0.7368 0.9024 0.9817
O: 0.6815 0.2621 0.5887
O: 0.3185 0.7379 0.4113